No. 1
The following is a PBE calculation of crystalline Co7SnN6 at its relaxed geometry, from Materials Project.

a = 9.7950 Å, b = 5.8697 Å, c = 10.4437 Å
α = 90.00°, β = 90.00°, γ = 90.00°
Last column: nearest neighbours and their distance in Å.
Sites, in units of the cell vectors:
Co 0.0000 0.0482 0.2500  4 N 1.89-2.03
Co 0.0000 0.9518 0.7500  4 N 1.89-2.03
Co 0.0032 0.2143 0.5099  2 N 1.76-1.77
Co 0.0032 0.7857 0.0099  2 N 1.76-1.77
Co 0.2092 0.0080 0.9235  3 N 1.77-1.84
Co 0.2092 0.9920 0.4235  3 N 1.77-1.84
Co 0.2466 0.2463 0.6438  4 N 1.84-1.94
Co 0.2466 0.7537 0.1438  4 N 1.84-1.94
Co 0.2534 0.2537 0.1438  4 N 1.84-1.94
Co 0.2534 0.7463 0.6438  4 N 1.84-1.94
Co 0.2908 0.4920 0.4235  3 N 1.77-1.84
Co 0.2908 0.5080 0.9235  3 N 1.77-1.84
Co 0.4968 0.2857 0.0099  2 N 1.76-1.77
Co 0.4968 0.7143 0.5099  2 N 1.76-1.77
Co 0.5000 0.4518 0.7500  4 N 1.89-2.03
Co 0.5000 0.5482 0.2500  4 N 1.89-2.03
Co 0.5032 0.2857 0.4901  2 N 1.76-1.77
Co 0.5032 0.7143 0.9901  2 N 1.76-1.77
Co 0.7092 0.4920 0.0765  3 N 1.77-1.84
Co 0.7092 0.5080 0.5765  3 N 1.77-1.84
Co 0.7466 0.2537 0.3562  4 N 1.84-1.94
Co 0.7466 0.7463 0.8562  4 N 1.84-1.94
Co 0.7534 0.2463 0.8562  4 N 1.84-1.94
Co 0.7534 0.7537 0.3562  4 N 1.84-1.94
Co 0.7908 0.0080 0.5765  3 N 1.77-1.84
Co 0.7908 0.9920 0.0765  3 N 1.77-1.84
Co 0.9968 0.2143 0.9901  2 N 1.76-1.77
Co 0.9968 0.7857 0.4901  2 N 1.76-1.77
Sn 0.0000 0.4067 0.7500  2 N 2.21
Sn 0.0000 0.5933 0.2500  2 N 2.21
Sn 0.5000 0.0933 0.2500  2 N 2.21
Sn 0.5000 0.9067 0.7500  2 N 2.21
N 0.0625 0.2853 0.1425  3 Co 1.77-1.89
N 0.0625 0.7147 0.6425  3 Co 1.77-1.89
N 0.1761 0.2827 0.4816  4 Co 1.76-1.84
N 0.1761 0.7173 0.9816  4 Co 1.76-1.84
N 0.2046 0.0032 0.7511  3 Co 1.80-1.94
N 0.2046 0.9968 0.2511  3 Co 1.80-1.94
N 0.2954 0.4968 0.2511  3 Co 1.80-1.94
N 0.2954 0.5032 0.7511  3 Co 1.80-1.94
N 0.3239 0.2173 0.9816  4 Co 1.76-1.84
N 0.3239 0.7827 0.4816  4 Co 1.76-1.84
N 0.4375 0.2147 0.6425  3 Co 1.77-1.89
N 0.4375 0.7853 0.1425  3 Co 1.77-1.89
N 0.5625 0.2147 0.8575  3 Co 1.77-1.89
N 0.5625 0.7853 0.3575  3 Co 1.77-1.89
N 0.6761 0.2173 0.5184  4 Co 1.76-1.84
N 0.6761 0.7827 0.0184  4 Co 1.76-1.84
N 0.7046 0.4968 0.2489  3 Co 1.80-1.94
N 0.7046 0.5032 0.7489  3 Co 1.80-1.94
N 0.7954 0.0032 0.7489  3 Co 1.80-1.94
N 0.7954 0.9968 0.2489  3 Co 1.80-1.94
N 0.8239 0.2827 0.0184  4 Co 1.76-1.84
N 0.8239 0.7173 0.5184  4 Co 1.76-1.84
N 0.9375 0.2853 0.3575  3 Co 1.77-1.89
N 0.9375 0.7147 0.8575  3 Co 1.77-1.89

Results
ΔE_f = 0.15 eV/atom
Space group = Pbcn
Crystal system = orthorhombic
Total magnetic moment = 1.477 μB/cell


No. 2
The following is a PBE calculation of crystalline SrMg3O4 at its relaxed geometry, from Materials Project.

a = 4.6031 Å, b = 4.6031 Å, c = 4.6031 Å
α = 90.00°, β = 90.00°, γ = 90.00°
Last column: nearest neighbours and their distance in Å.
Sites, in units of the cell vectors:
Sr 0.0000 0.0000 0.0000  6 O 2.30
Mg 0.0000 0.5000 0.5000  6 O 2.30
Mg 0.5000 0.0000 0.5000  6 O 2.30
Mg 0.5000 0.5000 0.0000  6 O 2.30
O 0.0000 0.0000 0.5000  4 Mg 2.30, 2 Sr 2.30
O 0.0000 0.5000 0.0000  4 Mg 2.30, 2 Sr 2.30
O 0.5000 0.0000 0.0000  4 Mg 2.30, 2 Sr 2.30
O 0.5000 0.5000 0.5000  6 Mg 2.30

Results
ΔE_f = -2.72 eV/atom
Space group = Pm-3m
Offset from the most stable computed form = 0.093 eV per atom
Crystal system = cubic
Total magnetic moment = 0.002 μB/cell


No. 3
The following is a PBE calculation of crystalline K3GaBr6 at its relaxed geometry, from Materials Project.

a = 8.0155 Å, b = 8.0155 Å, c = 8.0155 Å
α = 60.00°, β = 60.00°, γ = 60.00°
Last column: nearest neighbours and their distance in Å.
Sites, in units of the cell vectors:
K 0.0000 0.0000 0.0000  6 Br 3.11
K 0.2500 0.2500 0.2500  12 Br 4.02
K 0.7500 0.7500 0.7500  12 Br 4.02
Ga 0.5000 0.5000 0.5000  6 Br 2.56
Br 0.2739 0.2739 0.7261  1 Ga 2.56
Br 0.2739 0.7261 0.2739  1 Ga 2.56
Br 0.2739 0.7261 0.7261  1 Ga 2.56
Br 0.7261 0.2739 0.2739  1 Ga 2.56
Br 0.7261 0.2739 0.7261  1 Ga 2.56
Br 0.7261 0.7261 0.2739  1 Ga 2.56

Results
ΔE_f = -1.62 eV/atom
Space group = Fm-3m
Crystal system = cubic
Total magnetic moment = 0.001 μB/cell


No. 4
The following is a PBE calculation of crystalline Ti4S8Cl6O at its relaxed geometry, from Materials Project.

a = 9.8266 Å, b = 9.8266 Å, c = 13.3867 Å
α = 98.46°, β = 98.46°, γ = 121.12°
Last column: nearest neighbours and their distance in Å.
Sites, in units of the cell vectors:
Ti 0.1339 0.7647 0.8512  1 O 2.02, 1 Cl 2.23
Ti 0.1355 0.2074 0.2868  1 O 2.03, 1 Cl 2.22
Ti 0.2074 0.1355 0.7868  1 O 2.03, 1 Cl 2.22
Ti 0.2353 0.8661 0.6488  1 O 2.02, 1 Cl 2.23
Ti 0.7647 0.1339 0.3512  1 O 2.02, 1 Cl 2.23
Ti 0.7926 0.8645 0.2132  1 O 2.03, 1 Cl 2.22
Ti 0.8645 0.7926 0.7132  1 O 2.03, 1 Cl 2.22
Ti 0.8661 0.2353 0.1488  1 O 2.02, 1 Cl 2.23
S 0.0477 0.9309 0.3239  1 S 2.05
S 0.0691 0.9523 0.1761  1 S 2.05
S 0.1340 0.2760 0.1208  1 S 2.05
S 0.1495 0.4517 0.2340  1 S 2.05
S 0.1705 0.6124 0.7109  1 S 2.05
S 0.2760 0.1340 0.6208  1 S 2.05
S 0.3876 0.8295 0.7891  1 S 2.05
S 0.4517 0.1495 0.7340  1 S 2.05
S 0.5483 0.8505 0.2660  1 S 2.05
S 0.6124 0.1705 0.2109  1 S 2.05
S 0.7240 0.8660 0.3792  1 S 2.05
S 0.8295 0.3876 0.2891  1 S 2.05
S 0.8505 0.5483 0.7660  1 S 2.05
S 0.8660 0.7240 0.8792  1 S 2.05
S 0.9309 0.0477 0.8239  1 S 2.05
S 0.9523 0.0691 0.6761  1 S 2.05
Cl 0.0677 0.2855 0.4536  2 Ti 2.55-2.56, 1 O 2.75
Cl 0.1986 0.6911 0.9913  1 Ti 2.23
Cl 0.2855 0.0677 0.9536  2 Ti 2.55-2.56, 1 O 2.75
Cl 0.3090 0.8014 0.5087  1 Ti 2.23
Cl 0.3385 0.4035 0.8619  1 Ti 2.22
Cl 0.4035 0.3385 0.3619  1 Ti 2.22
Cl 0.5965 0.6615 0.6381  1 Ti 2.22
Cl 0.6615 0.5965 0.1381  1 Ti 2.22
Cl 0.6911 0.1986 0.4913  1 Ti 2.23
Cl 0.7145 0.9323 0.0464  2 Ti 2.55-2.56, 1 O 2.75
Cl 0.8014 0.3090 0.0087  1 Ti 2.23
Cl 0.9323 0.7145 0.5464  2 Ti 2.55-2.56, 1 O 2.75
O 0.1103 0.8897 0.7500  4 Ti 2.02-2.03
O 0.8897 0.1103 0.2500  4 Ti 2.02-2.03

Results
ΔE_f = -1.55 eV/atom
Space group = C2/c
Crystal system = monoclinic
Total magnetic moment = 0.000 μB/cell


No. 5
The following is a PBE calculation of crystalline Be2BH3O5 at its relaxed geometry, from Materials Project.

a = 4.4610 Å, b = 4.4610 Å, c = 10.8068 Å
α = 91.76°, β = 91.76°, γ = 59.51°
Last column: nearest neighbours and their distance in Å.
Sites, in units of the cell vectors:
Be 0.0004 0.9996 0.0000  4 O 1.62-1.67
Be 0.9996 0.0004 0.5000  4 O 1.62-1.67
Be 0.3388 0.3410 0.1039  4 O 1.62-1.65
Be 0.3410 0.3388 0.6039  4 O 1.62-1.65
B 0.6696 0.6701 0.0498  3 O 1.37-1.38
B 0.6701 0.6696 0.5498  3 O 1.37-1.38
H 0.1264 0.7452 0.3065  1 O 1.04
H 0.1285 0.7440 0.8066  1 O 1.03
H 0.2364 0.2376 0.2886  1 O 0.98
H 0.2376 0.2364 0.7886  1 O 0.98
H 0.7440 0.1285 0.3066  1 O 1.03
H 0.7452 0.1264 0.8065  1 O 1.04
O 0.3484 0.3568 0.2541  1 H 0.98
O 0.3568 0.3484 0.7541  1 H 0.98
O 0.3579 0.9808 0.5494  1 B 1.38
O 0.3612 0.6698 0.0495  1 B 1.38
O 0.6698 0.3612 0.5495  1 B 1.38
O 0.6700 0.9780 0.0499  1 B 1.37
O 0.9780 0.6700 0.5499  1 B 1.37
O 0.9808 0.3579 0.0494  1 B 1.38
O 0.9904 0.9931 0.3454  2 H 1.03-1.04
O 0.9931 0.9904 0.8454  2 H 1.03-1.04

Results
ΔE_f = -2.33 eV/atom
Space group = Cc
Offset from the most stable computed form = 0.000 eV per atom
Crystal system = monoclinic
Total magnetic moment = 0.001 μB/cell


No. 6
The following is a PBE calculation of crystalline KRuN at its relaxed geometry, from Materials Project.

a = 3.2832 Å, b = 3.2832 Å, c = 5.9136 Å
α = 106.07°, β = 106.07°, γ = 60.16°
Last column: nearest neighbours and their distance in Å.
Sites, in units of the cell vectors:
K 0.0000 0.0000 0.0000  4 N 2.97-3.31, 6 K 3.28-3.29, 3 Ru 3.32
Ru 0.4952 0.4952 0.4863  3 N 1.95
N 0.8036 0.8036 0.4091  3 Ru 1.95

Results
ΔE_f = 0.06 eV/atom
Space group = Cm
Offset from the most stable computed form = 0.000 eV per atom
Crystal system = monoclinic
Total magnetic moment = 0.000 μB/cell


No. 7
The following is a PBE calculation of crystalline Ti3H2O7 at its relaxed geometry, from Materials Project.

a = 18.9022 Å, b = 18.9022 Å, c = 10.0287 Å
α = 104.75°, β = 104.75°, γ = 11.45°
Last column: nearest neighbours and their distance in Å.
Sites, in units of the cell vectors:
Ti 0.1805 0.1805 0.0223  1 O 1.62
Ti 0.2083 0.2083 0.3495  1 O 1.72
Ti 0.2368 0.2368 0.7565  1 O 1.72
Ti 0.7632 0.7632 0.2435  1 O 1.72
Ti 0.7917 0.7917 0.6505  1 O 1.72
Ti 0.8195 0.8195 0.9777  1 O 1.62
H 0.2350 0.2350 0.5583  1 O 1.03
H 0.2817 0.2817 0.0154  1 O 0.99
H 0.7183 0.7183 0.9846  1 O 0.99
H 0.7650 0.7650 0.4417  1 O 1.03
O 0.1392 0.1392 0.9210  1 Ti 1.62
O 0.1712 0.1712 0.2078  1 Ti 1.72
O 0.2078 0.2078 0.5577  1 H 1.03
O 0.2104 0.2104 0.8740  1 Ti 1.72
O 0.2487 0.2487 0.2512  3 Ti 1.97-2.01
O 0.2778 0.2778 0.6270  1 H 1.58
O 0.2927 0.2927 0.9359  1 H 0.99
O 0.7073 0.7073 0.0641  1 H 0.99
O 0.7222 0.7222 0.3730  1 H 1.58
O 0.7513 0.7513 0.7488  3 Ti 1.97-2.01
O 0.7896 0.7896 0.1260  1 Ti 1.72
O 0.7922 0.7922 0.4423  1 H 1.03
O 0.8288 0.8288 0.7922  1 Ti 1.72
O 0.8608 0.8608 0.0790  1 Ti 1.62

Results
ΔE_f = -2.68 eV/atom
Space group = C2/m
Offset from the most stable computed form = 0.233 eV per atom
Crystal system = monoclinic
Total magnetic moment = 0.070 μB/cell


No. 8
The following is a PBE calculation of crystalline CsNbP2O8 at its relaxed geometry, from Materials Project.

a = 4.9950 Å, b = 9.0487 Å, c = 19.0057 Å
α = 90.00°, β = 99.74°, γ = 90.00°
Last column: nearest neighbours and their distance in Å.
Sites, in units of the cell vectors:
Cs 0.1643 0.2104 0.4394  7 O 3.13-3.48
Cs 0.1643 0.2896 0.9394  7 O 3.13-3.48
Cs 0.8357 0.7104 0.0606  7 O 3.13-3.48
Cs 0.8357 0.7896 0.5606  7 O 3.13-3.48
Nb 0.3389 0.0572 0.1680  1 O 1.76
Nb 0.3389 0.4428 0.6680  1 O 1.76
Nb 0.6611 0.5572 0.3320  1 O 1.76
Nb 0.6611 0.9428 0.8320  1 O 1.76
P 0.1271 0.1192 0.7425  4 O 1.51-1.62
P 0.1271 0.3808 0.2425  4 O 1.51-1.62
P 0.1911 0.7154 0.8927  4 O 1.49-1.64
P 0.1911 0.7846 0.3927  4 O 1.49-1.64
P 0.8089 0.2154 0.6073  4 O 1.49-1.64
P 0.8089 0.2846 0.1073  4 O 1.49-1.64
P 0.8729 0.6192 0.7575  4 O 1.51-1.62
P 0.8729 0.8808 0.2575  4 O 1.51-1.62
O 0.0169 0.1582 0.1039  1 P 1.55
O 0.0169 0.3418 0.6039  1 P 1.55
O 0.0333 0.5912 0.8377  2 P 1.62-1.64
O 0.0333 0.9088 0.3377  2 P 1.62-1.64
O 0.0705 0.5819 0.7060  1 P 1.54
O 0.0705 0.9181 0.2060  1 P 1.54
O 0.2197 0.2217 0.2498  1 P 1.51
O 0.2197 0.2783 0.7498  1 P 1.51
O 0.2786 0.6382 0.9620  1 P 1.49
O 0.2786 0.8618 0.4620  1 P 1.49
O 0.3600 0.0049 0.7504  1 P 1.55
O 0.3600 0.4951 0.2504  1 P 1.55
O 0.4084 0.5668 0.6022  1 Nb 1.76
O 0.4084 0.9332 0.1022  1 Nb 1.76
O 0.4229 0.7270 0.3554  1 P 1.55
O 0.4229 0.7730 0.8554  1 P 1.55
O 0.5771 0.2270 0.1446  1 P 1.55
O 0.5771 0.2730 0.6446  1 P 1.55
O 0.5916 0.0668 0.8978  1 Nb 1.76
O 0.5916 0.4332 0.3978  1 Nb 1.76
O 0.6400 0.5049 0.7496  1 P 1.55
O 0.6400 0.9951 0.2496  1 P 1.55
O 0.7214 0.1382 0.5380  1 P 1.49
O 0.7214 0.3618 0.0380  1 P 1.49
O 0.7803 0.7217 0.2502  1 P 1.51
O 0.7803 0.7783 0.7502  1 P 1.51
O 0.9295 0.0819 0.7940  1 P 1.54
O 0.9295 0.4181 0.2940  1 P 1.54
O 0.9667 0.0912 0.6623  2 P 1.62-1.64
O 0.9667 0.4088 0.1623  2 P 1.62-1.64
O 0.9831 0.6582 0.3961  1 P 1.55
O 0.9831 0.8418 0.8961  1 P 1.55

Results
ΔE_f = -2.83 eV/atom
Space group = P2_1/c
Crystal system = monoclinic
Total magnetic moment = 0.000 μB/cell